[1]
This record from the Materials Project describes crystalline MnFe4O5 at its relaxed geometry. The functional is PBE+U.

POSCAR file:
```
MnFe4O5
1.0
-3.5851 3.5851 2.1103
3.5851 -3.5851 2.1103
3.5851 3.5851 -2.1103
Mn Fe O
1 4 5
direct
0.0000 0.0000 0.0000
0.1998 0.4011 0.6009
0.4011 0.8002 0.2013
0.5989 0.1998 0.7987
0.8002 0.5989 0.3991
0.1005 0.6955 0.7959
0.3045 0.1005 0.4050
0.5000 0.5000 0.0000
0.6955 0.8995 0.5950
0.8995 0.3045 0.2041
```

Results
calculated formation energy	-11.54	eV/f.u.
magnetic moment	21.05	μB per formula unit

---

[2]
This record from the Materials Project describes crystalline Ca11YAl15Cr4SiO48 at its relaxed geometry. The functional is PBE+U.

POSCAR file:
```
Ca11YAl15Cr4SiO48
1.0
8.6019 -6.0833 0.0000
8.6019 6.0833 0.0000
-8.5912 0.0000 8.6282
Ca Y Al Cr Si O
11 1 15 4 1 48
direct
0.0000 0.0000 0.0000
0.0045 0.7497 0.1280
0.1251 0.3725 0.6221
0.1260 0.3707 0.1216
0.2503 0.9955 0.8720
0.2546 0.7454 0.5000
0.5041 0.2503 0.6264
0.6275 0.8749 0.3779
0.6293 0.8740 0.8784
0.7497 0.4959 0.3736
0.7524 0.2476 0.5000
0.4997 0.5003 0.0000
0.0055 0.7491 0.6273
0.1285 0.3733 0.3787
0.1283 0.3748 0.8794
0.2509 0.9945 0.3727
0.2541 0.7459 0.0000
0.3759 0.6208 0.7494
0.3792 0.6241 0.2506
0.5048 0.2507 0.1268
0.6252 0.8717 0.1206
0.6267 0.8715 0.6213
0.7493 0.4952 0.8732
0.7548 0.2452 0.0000
0.8771 0.1227 0.2499
0.8773 0.1229 0.7501
0.9993 0.0007 0.5000
0.3742 0.1207 0.2454
0.3760 0.1209 0.7482
0.8791 0.6240 0.2518
0.8793 0.6258 0.7546
0.5010 0.4990 0.5000
0.0555 0.7376 0.9418
0.0593 0.0106 0.2356
0.0682 0.5208 0.3259
0.0738 0.2200 0.8618
0.1826 0.5247 0.0723
0.1875 0.2241 0.2381
0.1968 0.7336 0.6649
0.1982 0.0095 0.6484
0.2624 0.9445 0.0582
0.2664 0.8032 0.3351
0.2784 0.3197 0.8305
0.2792 0.4257 0.5698
0.2979 0.6057 0.8513
0.3015 0.1335 0.5728
0.3651 0.1996 0.1360
0.3744 0.5343 0.3566
0.3893 0.0492 0.3643
0.3943 0.7021 0.1487
0.4530 0.1116 0.9271
0.4657 0.6256 0.6434
0.4753 0.8174 0.9277
0.4792 0.9318 0.6741
0.4911 0.3143 0.4461
0.4909 0.4411 0.1617
0.5551 0.2420 0.8548
0.5589 0.5091 0.8383
0.5659 0.0234 0.2614
0.5743 0.7208 0.4302
0.6803 0.7216 0.1695
0.6811 0.0260 0.6386
0.6857 0.5089 0.5539
0.6957 0.2351 0.2645
0.7580 0.4449 0.1452
0.7649 0.3043 0.7355
0.7759 0.8125 0.7619
0.7800 0.9262 0.1382
0.7929 0.1068 0.0528
0.8004 0.6349 0.8640
0.8612 0.0389 0.5532
0.8665 0.6985 0.4272
0.8884 0.5470 0.0729
0.8932 0.2072 0.9472
0.9508 0.6107 0.6357
0.9611 0.1388 0.4468
0.9740 0.3189 0.3614
0.9766 0.4341 0.7386
0.9894 0.9407 0.7644
0.9905 0.8018 0.3516
```

Results
calculated formation energy	-247.94	eV/f.u.
magnetic moment	6.00	μB per formula unit

---

[3]
This record from the Materials Project describes crystalline Li4VP6O18 at its relaxed geometry. The functional is PBE+U.

POSCAR file:
```
Li4VP6O18
1.0
6.2330 -3.9084 0.0000
6.2330 3.9084 0.0000
-0.9634 0.0000 13.9621
Li V P O
8 2 12 36
direct
0.0397 0.3002 0.4249
0.2173 0.4401 0.0474
0.3002 0.0397 0.9249
0.4401 0.2173 0.5474
0.5599 0.7827 0.4526
0.6998 0.9603 0.0751
0.7827 0.5599 0.9526
0.9603 0.6998 0.5751
0.3722 0.6278 0.7500
0.6278 0.3722 0.2500
0.0364 0.1470 0.1136
0.0926 0.3694 0.7512
0.1470 0.0364 0.6136
0.2303 0.6002 0.3898
0.3694 0.0926 0.2512
0.3998 0.7697 0.1102
0.6002 0.2303 0.8898
0.6306 0.9074 0.7488
0.7697 0.3998 0.6102
0.8530 0.9636 0.3864
0.9074 0.6306 0.2488
0.9636 0.8530 0.8864
0.0867 0.2459 0.0348
0.0967 0.8427 0.4019
0.0984 0.3699 0.8574
0.1343 0.1845 0.2143
0.1404 0.5515 0.2883
0.1573 0.9033 0.0981
0.1779 0.8110 0.8685
0.1845 0.1343 0.7143
0.1875 0.4956 0.4688
0.1881 0.4764 0.6980
0.1890 0.8221 0.6315
0.2459 0.0867 0.5348
0.3699 0.0984 0.3574
0.4315 0.5578 0.1274
0.4422 0.5685 0.3726
0.4485 0.8596 0.2117
0.4764 0.1881 0.1980
0.4956 0.1875 0.9688
0.5044 0.8125 0.0312
0.5236 0.8119 0.8020
0.5515 0.1404 0.7883
0.5578 0.4315 0.6274
0.5685 0.4422 0.8726
0.6301 0.9016 0.6426
0.7541 0.9133 0.4652
0.8110 0.1779 0.3685
0.8119 0.5236 0.3020
0.8125 0.5044 0.5312
0.8155 0.8657 0.2857
0.8221 0.1890 0.1315
0.8427 0.0967 0.9019
0.8596 0.4485 0.7117
0.8657 0.8155 0.7857
0.9016 0.6301 0.1426
0.9033 0.1573 0.5981
0.9133 0.7541 0.9652
```

Results
calculated formation energy	-75.67	eV/f.u.
magnetic moment	3.00	μB per formula unit

---

[4]
This record from the Materials Project describes crystalline Li5TiV3O8 at its relaxed geometry. The functional is PBE+U.

POSCAR file:
```
Li5TiV3O8
1.0
6.2478 -2.0998 0.0000
6.2478 2.0998 0.0000
-2.0986 0.0000 6.4146
Li Ti V O
5 1 3 8
direct
0.0000 0.0000 0.0000
0.3106 0.3106 0.9959
0.4404 0.4404 0.6235
0.5546 0.5546 0.3588
0.6748 0.6748 0.9915
0.7812 0.7812 0.6788
0.1061 0.1061 0.6717
0.2145 0.2145 0.3167
0.8854 0.8854 0.3105
0.0483 0.0483 0.3299
0.1515 0.1515 0.9970
0.2786 0.2786 0.6648
0.3847 0.3847 0.3099
0.6196 0.6196 0.6703
0.7235 0.7235 0.3423
0.8368 0.8368 0.9756
0.9326 0.9326 0.6488
```

Results
energy relative to the lowest polymorph listed for this composition	0	meV/atom
calculated formation energy	-41.82	eV/f.u.
magnetic moment	8.00	μB per formula unit

---

[5]
This record from the Materials Project describes crystalline NaNi3O8 at its relaxed geometry. The functional is PBE+U.

POSCAR file:
```
NaNi3O8
1.0
2.4048 -4.1644 0.0000
2.4048 4.1644 0.0000
-1.5972 0.0000 6.8724
Na Ni O
1 3 8
direct
0.0000 0.0000 0.0000
0.1535 0.4871 0.5006
0.4871 0.1535 0.5006
0.8189 0.8189 0.4975
0.1082 0.7751 0.3588
0.1976 0.1976 0.6398
0.3330 0.6681 0.0004
0.4362 0.4362 0.3586
0.5354 0.8668 0.6404
0.6681 0.3330 0.0004
0.7751 0.1082 0.3588
0.8668 0.5354 0.6404
```

Results
calculated formation energy	-5.37	eV/f.u.
magnetic moment	0.95	μB per formula unit

---

[6]
This record from the Materials Project describes crystalline Li4V3CuP4O16 at its relaxed geometry. The functional is PBE+U.

POSCAR file:
```
Li4V3CuP4O16
1.0
4.7560 0.0000 0.0000
0.0000 6.0899 0.0000
-0.0689 0.0000 10.4132
Li V Cu P O
4 3 1 4 16
direct
0.0000 0.2434 0.0000
0.0000 0.7566 0.0000
0.5017 0.2464 0.4935
0.5017 0.7536 0.4935
0.0194 0.5000 0.7209
0.4855 0.5000 0.2178
0.5171 0.0000 0.7730
0.9612 0.0000 0.2817
0.0860 0.0000 0.5876
0.4239 0.0000 0.0898
0.5883 0.5000 0.9047
0.9146 0.5000 0.4000
0.2051 0.0000 0.4496
0.2239 0.2030 0.6582
0.2239 0.7970 0.6582
0.2371 0.5000 0.3946
0.2665 0.5000 0.9006
0.2908 0.0000 0.9527
0.2990 0.2089 0.1582
0.2990 0.7911 0.1582
0.7109 0.5000 0.0438
0.7252 0.2976 0.8350
0.7252 0.7024 0.8350
0.7468 0.0000 0.0904
0.7637 0.0000 0.5927
0.7714 0.3015 0.3276
0.7714 0.6985 0.3276
0.7980 0.5000 0.5385
```

Results
calculated formation energy	-71.07	eV/f.u.
magnetic moment	8.00	μB per formula unit

---

[7]
This record from the Materials Project describes crystalline Li9Mn2Co5O16 at its relaxed geometry. The functional is PBE+U.

POSCAR file:
```
Li9Mn2Co5O16
1.0
5.1927 0.0000 0.0000
-1.9826 5.5796 0.0000
-0.9975 -2.9549 9.7531
Li Mn Co O
9 2 5 16
direct
0.0000 0.0000 0.0000
0.4940 0.4312 0.1173
0.4961 0.0717 0.8818
0.4978 0.3100 0.3749
0.4998 0.1823 0.6252
0.5002 0.8177 0.3748
0.5022 0.6900 0.6251
0.5039 0.9283 0.1182
0.5060 0.5688 0.8827
0.0026 0.3684 0.2473
0.9974 0.6316 0.7527
0.0000 0.5000 0.0000
0.0006 0.1266 0.7530
0.0026 0.7484 0.4998
0.9974 0.2516 0.5002
0.9994 0.8734 0.2470
0.2069 0.4060 0.6855
0.2153 0.1639 0.1976
0.2239 0.0088 0.4325
0.2271 0.2704 0.9238
0.2304 0.5107 0.4330
0.2311 0.7577 0.9305
0.2345 0.8853 0.6810
0.2350 0.6311 0.1823
0.7650 0.3689 0.8177
0.7655 0.1147 0.3190
0.7689 0.2423 0.0695
0.7696 0.4893 0.5670
0.7729 0.7296 0.0762
0.7761 0.9912 0.5675
0.7847 0.8361 0.8024
0.7931 0.5940 0.3145
```

Results
energy relative to the lowest polymorph listed for this composition	71	meV/atom
calculated formation energy	-57.39	eV/f.u.
magnetic moment	11.80	μB per formula unit

---

[8]
This record from the Materials Project describes crystalline CaTi2MnO6 at its relaxed geometry. The functional is PBE+U.

POSCAR file:
```
CaTi2MnO6
1.0
7.5989 0.0000 0.0000
0.0000 7.5989 0.0000
0.0000 0.0000 7.7109
Ca Ti Mn O
4 8 4 24
direct
0.0000 0.0000 0.0000
0.0000 0.0000 0.5000
0.5000 0.5000 0.0508
0.5000 0.5000 0.5508
0.2452 0.2570 0.2841
0.2452 0.7430 0.2841
0.2570 0.2452 0.7841
0.2570 0.7548 0.7841
0.7430 0.2452 0.7841
0.7430 0.7548 0.7841
0.7548 0.2570 0.2841
0.7548 0.7430 0.2841
0.0000 0.5000 0.0221
0.0000 0.5000 0.5768
0.5000 0.0000 0.0768
0.5000 0.0000 0.5221
0.0000 0.1967 0.2341
0.0000 0.2968 0.8273
0.0000 0.7032 0.8273
0.0000 0.8033 0.2341
0.1967 0.0000 0.7341
0.1987 0.3010 0.5182
0.1987 0.6990 0.5182
0.2103 0.5000 0.2035
0.2968 0.0000 0.3273
0.3010 0.1987 0.0182
0.3010 0.8013 0.0182
0.3031 0.5000 0.8036
0.5000 0.2103 0.7035
0.5000 0.3031 0.3036
0.5000 0.6969 0.3036
0.5000 0.7897 0.7035
0.6969 0.5000 0.8036
0.6990 0.1987 0.0182
0.6990 0.8013 0.0182
0.7032 0.0000 0.3273
0.7897 0.5000 0.2035
0.8013 0.3010 0.5182
0.8013 0.6990 0.5182
0.8033 0.0000 0.7341
```

Results
calculated formation energy	-32.37	eV/f.u.
magnetic moment	5.00	μB per formula unit

---

[9]
This record from the Materials Project describes crystalline Li9Mn2Co5O16 at its relaxed geometry. The functional is PBE+U.

POSCAR file:
```
Li9Mn2Co5O16
1.0
5.0090 0.0000 0.0000
-1.3406 6.8134 0.0000
-0.5029 -1.6462 8.5171
Li Mn Co O
9 2 5 16
direct
0.0000 0.0000 0.0000
0.0012 0.2423 0.7446
0.0022 0.4935 0.4935
0.2491 0.1834 0.3080
0.4949 0.8744 0.1237
0.4980 0.3689 0.6142
0.4986 0.1213 0.8708
0.5013 0.6186 0.3708
0.9982 0.7498 0.2463
0.2492 0.6865 0.8057
0.7481 0.5554 0.9366
0.2493 0.4291 0.0600
0.2485 0.9365 0.5576
0.7446 0.2964 0.1863
0.7492 0.8136 0.6780
0.7543 0.0696 0.4307
0.0875 0.2001 0.5186
0.0960 0.4545 0.2560
0.1152 0.7134 0.0157
0.1285 0.9656 0.7617
0.3741 0.6520 0.5960
0.3822 0.4066 0.8554
0.3995 0.9127 0.3611
0.4117 0.1677 0.0977
0.6069 0.5803 0.1421
0.6112 0.0762 0.6378
0.6189 0.8376 0.8876
0.6383 0.3297 0.3898
0.8592 0.0367 0.2270
0.8791 0.5359 0.7259
0.8893 0.7866 0.4750
0.8916 0.2828 0.9807
```

Results
energy relative to the lowest polymorph listed for this composition	97	meV/atom
calculated formation energy	-56.56	eV/f.u.
magnetic moment	22.00	μB per formula unit

---

[10]
This record from the Materials Project describes crystalline Lu2V2O7 at its relaxed geometry. The functional is PBE+U.

POSCAR file:
```
Lu2V2O7
1.0
0.0000 4.9949 4.9949
4.9949 0.0000 4.9949
4.9949 4.9949 0.0000
Lu V O
4 4 14
direct
0.0000 0.0000 0.0000
0.0000 0.0000 0.5000
0.0000 0.5000 0.0000
0.5000 0.0000 0.0000
0.0000 0.5000 0.5000
0.5000 0.0000 0.5000
0.5000 0.5000 0.0000
0.5000 0.5000 0.5000
0.1250 0.1250 0.1250
0.1653 0.1653 0.5847
0.1653 0.5847 0.1653
0.1653 0.5847 0.5847
0.4153 0.4153 0.8347
0.4153 0.8347 0.4153
0.4153 0.8347 0.8347
0.5847 0.1653 0.1653
0.5847 0.1653 0.5847
0.5847 0.5847 0.1653
0.8347 0.4153 0.4153
0.8347 0.4153 0.8347
0.8347 0.8347 0.4153
0.8750 0.8750 0.8750
```

Results
calculated formation energy	-35.88	eV/f.u.

---

[11]
This record from the Materials Project describes crystalline NaCrPCO7 at its relaxed geometry. The functional is PBE+U.

POSCAR file:
```
NaCrPCO7
1.0
5.2825 0.0000 0.0000
0.0000 6.2985 0.0000
-0.3429 0.0000 9.0600
Na Cr P C O
2 2 2 2 14
direct
0.2376 0.0000 0.2679
0.7624 0.5000 0.7321
0.2137 0.2131 0.8401
0.7863 0.7131 0.1599
0.2798 0.7202 0.9336
0.7202 0.2202 0.0664
0.2716 0.2334 0.5792
0.7284 0.7334 0.4208
0.0492 0.2275 0.6407
0.1201 0.7317 0.0726
0.2045 0.5274 0.8363
0.2190 0.9161 0.8330
0.3118 0.2343 0.4468
0.4348 0.2124 0.0245
0.4558 0.2361 0.6877
0.5442 0.7361 0.3123
0.5652 0.7124 0.9755
0.6882 0.7343 0.5532
0.7810 0.4161 0.1670
0.7955 0.0274 0.1637
0.8799 0.2317 0.9274
0.9508 0.7275 0.3593
```

Results
calculated formation energy	-24.36	eV/f.u.
magnetic moment	2.00	μB per formula unit

---

no.,total DFT energy (no corrections) (eV/atom)
1,-6.519
2,-7.165
3,-6.892
4,-6.794
5,-4.208
6,-6.957
7,-5.784
8,-8.323
9,-5.758
10,-8.138
11,-7.073